# 1
This record from the Materials Project describes a relaxed structure of Co4IrN4. The functional is PBE-GGA.

a = 4.7336 Å, b = 5.0090 Å, c = 7.8867 Å
α = 72.02°, β = 84.63°, γ = 80.67°
Last column: nearest neighbours and their distance in Å.
Atoms (fractional coordinates):
Co: 0.2180 0.1528 0.3643  4 N 1.91-2.03
Co: 0.2202 0.3422 0.9321  3 N 1.84-1.88
Co: 0.2337 0.7231 0.2132  4 N 1.81-2.02
Co: 0.2544 0.4632 0.5597  3 N 1.85-1.97
Co: 0.7456 0.5368 0.4403  3 N 1.85-1.97
Co: 0.7663 0.2769 0.7868  4 N 1.81-2.02
Co: 0.7798 0.6578 0.0679  3 N 1.84-1.88
Co: 0.7820 0.8472 0.6357  4 N 1.91-2.03
Ir: 0.2635 0.9367 0.7599  4 N 2.02-2.19
Ir: 0.7365 0.0633 0.2401  4 N 2.02-2.19
N: 0.0122 0.8068 0.4271  5 Co 1.93-2.03, 1 Ir 2.04
N: 0.1682 0.6727 0.0032  3 Co 1.81-1.88, 1 Ir 2.02
N: 0.3474 0.0873 0.1425  3 Co 1.84-1.91, 1 Ir 2.03
N: 0.4899 0.4110 0.3283  3 Co 1.85-1.91
N: 0.5101 0.5890 0.6717  3 Co 1.85-1.91
N: 0.6526 0.9127 0.8575  3 Co 1.84-1.91, 1 Ir 2.03
N: 0.8318 0.3273 0.9968  3 Co 1.81-1.88, 1 Ir 2.02
N: 0.9878 0.1932 0.5729  5 Co 1.93-2.03, 1 Ir 2.04

Properties
- Formation energy from the elements: 2.1 eV per formula unit
- E (MP2020): -7.62 eV per atom
- E: -7.457 eV/atom

=====

# 2
This record from the Materials Project describes a relaxed structure of Er3Cu4Sn4. The functional is PBE-GGA.

a = 8.3953 Å, b = 8.3953 Å, c = 8.3953 Å
α = 149.19°, β = 131.22°, γ = 58.82°
Last column: nearest neighbours and their distance in Å.
Atoms (fractional coordinates):
Er: 0.0000 0.0000 0.0000  6 Sn 3.03-3.16
Er: 0.3689 0.8689 0.5000  6 Cu 3.16, 6 Sn 3.16-3.26
Er: 0.6311 0.1311 0.5000  6 Cu 3.16, 6 Sn 3.16-3.26
Cu: 0.0169 0.3280 0.6889  1 Cu 2.62, 4 Sn 2.62-2.71
Cu: 0.3609 0.6720 0.6889  1 Cu 2.62, 4 Sn 2.62-2.71
Cu: 0.6391 0.3280 0.3111  1 Cu 2.62, 4 Sn 2.62-2.71
Cu: 0.9831 0.6720 0.3111  1 Cu 2.62, 4 Sn 2.62-2.71
Sn: 0.2157 0.2157 0.0000  6 Cu 2.66-2.71
Sn: 0.2965 0.5000 0.7965  2 Cu 2.62, 1 Sn 2.82
Sn: 0.7035 0.5000 0.2035  2 Cu 2.62, 1 Sn 2.82
Sn: 0.7843 0.7843 0.0000  6 Cu 2.66-2.71

Properties
- Formation energy from the elements: -5.4 eV per formula unit
- E: -4.681 eV/atom

=====

# 3
This record from the Materials Project describes a relaxed structure of Sb5IO7. The functional is PBE-GGA.

a = 6.9474 Å, b = 6.9474 Å, c = 12.9769 Å
α = 90.00°, β = 90.00°, γ = 120.00°
Last column: nearest neighbours and their distance in Å.
Atoms (fractional coordinates):
Sb: 0.0393 0.3603 0.2500  3 O 1.99-2.09
Sb: 0.3210 0.9607 0.2500  3 O 1.99-2.09
Sb: 0.3333 0.6667 0.5536  3 O 2.01
Sb: 0.3333 0.6667 0.9464  3 O 2.01
Sb: 0.3603 0.0393 0.7500  3 O 1.99-2.09
Sb: 0.6397 0.6790 0.2500  3 O 1.99-2.09
Sb: 0.6667 0.3333 0.0536  3 O 2.01
Sb: 0.6667 0.3333 0.4464  3 O 2.01
Sb: 0.6790 0.6397 0.7500  3 O 1.99-2.09
Sb: 0.9607 0.3210 0.7500  3 O 1.99-2.09
I: 0.0000 0.0000 0.0000  12 O 3.81-4.07, 12 Sb 4.02-4.07
I: 0.0000 0.0000 0.5000  12 O 3.81-4.07, 12 Sb 4.02-4.07
O: 0.0574 0.5503 0.6402  2 Sb 1.99-2.01
O: 0.0574 0.5503 0.8598  2 Sb 1.99-2.01
O: 0.3333 0.6667 0.2500  3 Sb 2.09
O: 0.4497 0.5072 0.6402  2 Sb 1.99-2.01
O: 0.4497 0.5072 0.8598  2 Sb 1.99-2.01
O: 0.4928 0.9426 0.6402  2 Sb 1.99-2.01
O: 0.4928 0.9426 0.8598  2 Sb 1.99-2.01
O: 0.5072 0.4497 0.1402  2 Sb 1.99-2.01
O: 0.5072 0.4497 0.3598  2 Sb 1.99-2.01
O: 0.5503 0.0574 0.1402  2 Sb 1.99-2.01
O: 0.5503 0.0574 0.3598  2 Sb 1.99-2.01
O: 0.6667 0.3333 0.7500  3 Sb 2.09
O: 0.9426 0.4928 0.1402  2 Sb 1.99-2.01
O: 0.9426 0.4928 0.3598  2 Sb 1.99-2.01

Properties
- Formation energy from the elements: -20.8 eV per formula unit
- E above lowest polymorph: 0.009 eV/atom
- E (MP2020): -5.97 eV per atom
- E: -5.597 eV/atom

=====

# 4
This record from the Materials Project describes a relaxed structure of NdSi2Pt2. The functional is PBE-GGA.

a = 4.2687 Å, b = 4.2687 Å, c = 9.8842 Å
α = 90.00°, β = 90.00°, γ = 90.00°
Last column: nearest neighbours and their distance in Å.
Atoms (fractional coordinates):
Nd: 0.2500 0.2500 0.2449  8 Si 3.23-3.25, 9 Pt 3.26-3.61
Nd: 0.7500 0.7500 0.7551  8 Si 3.23-3.25, 9 Pt 3.26-3.61
Si: 0.2500 0.2500 0.6330  5 Pt 2.44-2.51
Si: 0.2500 0.7500 0.0000  4 Pt 2.44
Si: 0.7500 0.2500 0.0000  4 Pt 2.44
Si: 0.7500 0.7500 0.3670  5 Pt 2.44-2.51
Pt: 0.2500 0.2500 0.8793  5 Si 2.44
Pt: 0.2500 0.7500 0.5000  4 Si 2.51
Pt: 0.7500 0.2500 0.5000  4 Si 2.51
Pt: 0.7500 0.7500 0.1207  5 Si 2.44

Properties
- Formation energy from the elements: -5.5 eV per formula unit
- E: -6.657 eV/atom

=====

# 5
This record from the Materials Project describes a relaxed structure of LiSi2Ag8O8. The functional is PBE-GGA.

a = 7.6449 Å, b = 7.6449 Å, c = 4.9285 Å
α = 90.00°, β = 90.00°, γ = 90.00°
Last column: nearest neighbours and their distance in Å.
Atoms (fractional coordinates):
Li: 0.0000 0.0000 0.0000  4 O 1.95
Si: 0.0000 0.0000 0.5000  4 O 1.66
Si: 0.5000 0.5000 0.0000  4 O 1.66
Ag: 0.1171 0.6510 0.9309  2 O 2.20-2.24
Ag: 0.1805 0.3933 0.4828  2 O 2.23-2.29
Ag: 0.3490 0.1171 0.0691  2 O 2.20-2.24
Ag: 0.3933 0.8195 0.5172  2 O 2.23-2.29
Ag: 0.6067 0.1805 0.5172  2 O 2.23-2.29
Ag: 0.6510 0.8829 0.0691  2 O 2.20-2.24
Ag: 0.8195 0.6067 0.4828  2 O 2.23-2.29
Ag: 0.8829 0.3490 0.9309  2 O 2.20-2.24
O: 0.0553 0.1619 0.7063  1 Si 1.66
O: 0.1619 0.9447 0.2937  1 Si 1.66
O: 0.3305 0.5580 0.1921  1 Si 1.66
O: 0.4420 0.3305 0.8079  1 Si 1.66
O: 0.5580 0.6695 0.8079  1 Si 1.66
O: 0.6695 0.4420 0.1921  1 Si 1.66
O: 0.8381 0.0553 0.2937  1 Si 1.66
O: 0.9447 0.8381 0.7063  1 Si 1.66

Properties
- Formation energy from the elements: -24.7 eV per formula unit
- E above lowest polymorph: 0.000 eV/atom
- E (MP2020): -5.25 eV per atom
- E: -4.958 eV/atom

=====

# 6
This record from the Materials Project describes a relaxed structure of Ho4Fe29Si5. The functional is PBE-GGA.

a = 6.3319 Å, b = 6.3503 Å, c = 12.6624 Å
α = 82.33°, β = 81.44°, γ = 82.27°
Last column: nearest neighbours and their distance in Å.
Atoms (fractional coordinates):
Ho: 0.1504 0.1589 0.3266  15 Fe 2.87-3.21, 1 Si 3.06
Ho: 0.1546 0.1532 0.8262  15 Fe 2.89-3.20, 1 Si 3.04
Ho: 0.8454 0.8468 0.1738  15 Fe 2.89-3.20, 1 Si 3.04
Ho: 0.8496 0.8411 0.6734  15 Fe 2.87-3.21, 1 Si 3.06
Fe: 0.0000 0.5000 0.0000  8 Fe 2.39-2.43, 2 Si 2.52
Fe: 0.0000 0.5000 0.5000  8 Fe 2.39-2.45, 2 Si 2.46
Fe: 0.1552 0.6636 0.3286  8 Fe 2.41-2.60, 1 Si 2.48
Fe: 0.1602 0.1604 0.0782  8 Fe 2.39-2.58, 1 Si 2.54
Fe: 0.1601 0.6554 0.8292  8 Fe 2.39-2.60, 1 Si 2.57
Fe: 0.1640 0.1627 0.5751  2 Si 2.36-2.59, 7 Fe 2.39-2.56
Fe: 0.1942 0.8094 0.4991  1 Si 2.42, 7 Fe 2.45-2.56
Fe: 0.1990 0.8014 0.9997  8 Fe 2.42-2.58
Fe: 0.2017 0.5010 0.1493  8 Fe 2.43-2.58
Fe: 0.2078 0.4993 0.6461  8 Fe 2.42-2.60, 1 Si 2.71
Fe: 0.3446 0.8410 0.1698  8 Fe 2.38-2.56, 1 Si 2.54
Fe: 0.3493 0.8365 0.6680  2 Si 2.36-2.58, 7 Fe 2.40-2.58
Fe: 0.4971 0.8097 0.3478  1 Si 2.41, 7 Fe 2.45-2.56
Fe: 0.4986 0.5019 0.2501  8 Fe 2.39-2.45, 2 Si 2.46-2.53
Fe: 0.5000 0.0000 0.0000  8 Fe 2.38-2.43, 2 Si 2.55
Fe: 0.4996 0.1988 0.1516  8 Fe 2.43-2.58
Fe: 0.5004 0.8012 0.8484  8 Fe 2.43-2.58
Fe: 0.5014 0.4981 0.7499  8 Fe 2.39-2.45, 2 Si 2.46-2.53
Fe: 0.5029 0.1903 0.6522  1 Si 2.41, 7 Fe 2.45-2.56
Fe: 0.6507 0.1635 0.3320  2 Si 2.36-2.58, 7 Fe 2.40-2.58
Fe: 0.6554 0.1590 0.8302  8 Fe 2.38-2.56, 1 Si 2.54
Fe: 0.7922 0.5007 0.3539  8 Fe 2.42-2.60, 1 Si 2.71
Fe: 0.7983 0.4990 0.8507  8 Fe 2.43-2.58
Fe: 0.8010 0.1986 0.0003  8 Fe 2.42-2.58
Fe: 0.8058 0.1906 0.5009  1 Si 2.42, 7 Fe 2.45-2.56
Fe: 0.8360 0.8373 0.4249  2 Si 2.36-2.59, 7 Fe 2.39-2.56
Fe: 0.8399 0.3446 0.1708  8 Fe 2.39-2.60, 1 Si 2.57
Fe: 0.8398 0.8396 0.9218  8 Fe 2.39-2.58, 1 Si 2.54
Fe: 0.8448 0.3364 0.6714  8 Fe 2.41-2.60, 1 Si 2.48
Si: 0.3896 0.4225 0.4449  9 Fe 2.46-2.72, 2 Si 2.49-2.70
Si: 0.3981 0.3985 0.9492  1 Si 2.52, 11 Fe 2.52-2.82
Si: 0.5000 0.0000 0.5000  8 Fe 2.36-2.42
Si: 0.6019 0.6015 0.0508  1 Si 2.52, 11 Fe 2.52-2.82
Si: 0.6104 0.5775 0.5551  9 Fe 2.46-2.72, 2 Si 2.49-2.70

Properties
- Formation energy from the elements: -4.3 eV per formula unit
- E (MP2020): -7.77 eV per atom
- E: -7.784 eV/atom

=====

# 7
This record from the Materials Project describes a relaxed structure of Zr3Sc. The functional is PBE-GGA.

a = 6.4959 Å, b = 6.4959 Å, c = 5.1663 Å
α = 90.00°, β = 90.00°, γ = 120.00°
Last column: nearest neighbours and their distance in Å.
Atoms (fractional coordinates):
Zr: 0.1674 0.3348 0.2500  4 Sc 3.19-3.25, 8 Zr 3.20-3.26
Zr: 0.1674 0.8326 0.2500  4 Sc 3.19-3.25, 8 Zr 3.20-3.26
Zr: 0.3348 0.1674 0.7500  4 Sc 3.19-3.25, 8 Zr 3.20-3.26
Zr: 0.6652 0.8326 0.2500  4 Sc 3.19-3.25, 8 Zr 3.20-3.26
Zr: 0.8326 0.1674 0.7500  4 Sc 3.19-3.25, 8 Zr 3.20-3.26
Zr: 0.8326 0.6652 0.7500  4 Sc 3.19-3.25, 8 Zr 3.20-3.26
Sc: 0.3333 0.6667 0.7500  12 Zr 3.19-3.25
Sc: 0.6667 0.3333 0.2500  12 Zr 3.19-3.25

Properties
- Formation energy from the elements: -0.1 eV per formula unit
- E: -8.024 eV/atom

=====

# 8
This record from the Materials Project describes a relaxed structure of CuSnH12N2O6. The functional is PBE-GGA.

a = 4.9642 Å, b = 5.7529 Å, c = 6.7227 Å
α = 107.67°, β = 92.28°, γ = 92.95°
Last column: nearest neighbours and their distance in Å.
Atoms (fractional coordinates):
Cu: 0.0000 0.0000 0.0000  2 O 1.69
Sn: 0.0000 0.5000 0.0000  4 O 2.04-2.15
H: 0.0185 0.7491 0.6110  1 O 1.23
H: 0.2947 0.1242 0.4235  1 N 1.19
H: 0.2971 0.5543 0.4102  1 O 1.34
H: 0.3335 0.3721 0.7730  1 O 0.91
H: 0.3340 0.9130 0.2652  1 N 0.91
H: 0.4510 0.1504 0.1548  1 N 1.16
H: 0.5490 0.8496 0.8452  1 N 1.16
H: 0.6660 0.0870 0.7348  1 N 0.91
H: 0.6665 0.6279 0.2270  1 O 0.91
H: 0.7029 0.4457 0.5898  1 O 1.34
H: 0.7053 0.8758 0.5765  1 N 1.19
H: 0.9815 0.2509 0.3890  1 O 1.23
N: 0.3023 0.0546 0.2386  1 H 0.91
N: 0.6977 0.9454 0.7614  1 H 0.91
O: 0.1061 0.7815 0.7922  1 H 1.23
O: 0.1600 0.3517 0.7175  1 H 0.91
O: 0.3289 0.6137 0.2342  1 H 1.34
O: 0.6711 0.3863 0.7658  1 H 1.34
O: 0.8400 0.6483 0.2825  1 H 0.91
O: 0.8939 0.2185 0.2078  1 H 1.23

Properties
- Formation energy from the elements: -6.2 eV per formula unit
- E above lowest polymorph: 0.726 eV/atom
- E (MP2020): -4.61 eV per atom
- E: -4.422 eV/atom

=====

# 9
This record from the Materials Project describes a relaxed structure of MgTe2Mo2W2Se4S2. The functional is PBE-GGA.

a = 3.3412 Å, b = 3.3412 Å, c = 45.5840 Å
α = 90.00°, β = 90.00°, γ = 120.00°
Last column: nearest neighbours and their distance in Å.
Atoms (fractional coordinates):
Mg: 0.0000 0.0000 0.0000  3 S 3.27, 6 Mg 3.34
Te: 0.6667 0.3333 0.8478  3 Mo 2.70
Te: 0.6667 0.3333 0.9313  3 Mo 2.72
Mo: 0.3333 0.6667 0.8893  6 Te 2.70-2.72
Mo: 0.6667 0.3333 0.0916  6 S 2.45-2.47
W: 0.3333 0.6667 0.2718  6 Se 2.55
W: 0.6667 0.3333 0.4598  6 Se 2.55
Se: 0.3333 0.6667 0.4230  3 W 2.55
Se: 0.3333 0.6667 0.4965  3 W 2.55
Se: 0.6667 0.3333 0.2351  3 W 2.55
Se: 0.6667 0.3333 0.3085  3 W 2.55
S: 0.3333 0.6667 0.0578  3 Mo 2.47
S: 0.3333 0.6667 0.1247  3 Mo 2.45

Properties
- Formation energy from the elements: -6.9 eV per formula unit
- E above lowest polymorph: 0.016 eV/atom
- E (MP2020): -6.51 eV per atom
- E: -6.433 eV/atom

=====

# 10
This record from the Materials Project describes a relaxed structure of ZrSn. The functional is PBE-GGA.

a = 6.1314 Å, b = 5.4933 Å, c = 8.4953 Å
α = 90.00°, β = 96.57°, γ = 90.00°
Last column: nearest neighbours and their distance in Å.
Atoms (fractional coordinates):
Zr: 0.0516 0.2500 0.0912  5 Sn 3.05-3.19, 5 Zr 3.06-3.25
Zr: 0.1972 0.2500 0.7349  6 Sn 2.99-3.18, 3 Zr 3.25-3.32
Zr: 0.4433 0.7500 0.8848  3 Sn 2.94-3.02, 2 Zr 3.06-3.08
Zr: 0.5567 0.2500 0.1152  3 Sn 2.94-3.02, 2 Zr 3.06-3.08
Zr: 0.8028 0.7500 0.2651  6 Sn 2.99-3.18, 3 Zr 3.25-3.32
Zr: 0.9484 0.7500 0.9088  5 Sn 3.05-3.19, 5 Zr 3.06-3.25
Sn: 0.1419 0.7500 0.5777  5 Zr 3.02-3.18, 2 Sn 3.04-3.09
Sn: 0.2887 0.7500 0.1996  6 Zr 2.94-3.19
Sn: 0.3612 0.2500 0.4173  3 Zr 2.95-3.17, 2 Sn 3.04-3.09
Sn: 0.6388 0.7500 0.5827  3 Zr 2.95-3.17, 2 Sn 3.04-3.09
Sn: 0.7113 0.2500 0.8004  6 Zr 2.94-3.19
Sn: 0.8581 0.2500 0.4223  5 Zr 3.02-3.18, 2 Sn 3.04-3.09

Properties
- Formation energy from the elements: -0.5 eV per formula unit
- E: -6.523 eV/atom

=====

# 11
This record from the Materials Project describes a relaxed structure of InNi. The functional is PBE-GGA.

a = 3.1473 Å, b = 3.1473 Å, c = 3.1473 Å
α = 90.00°, β = 90.00°, γ = 90.00°
Last column: nearest neighbours and their distance in Å.
Atoms (fractional coordinates):
In: 0.0000 0.0000 0.0000  8 Ni 2.73
Ni: 0.5000 0.5000 0.5000  8 In 2.73

Properties
- Formation energy from the elements: -0.2 eV per formula unit
- E: -4.348 eV/atom

=====

# 12
This record from the Materials Project describes a relaxed structure of Mg6NbSnO8. The functional is PBE-GGA.

a = 4.5031 Å, b = 4.5031 Å, c = 8.8807 Å
α = 90.00°, β = 90.00°, γ = 90.00°
Last column: nearest neighbours and their distance in Å.
Atoms (fractional coordinates):
Mg: 0.0000 0.0000 0.0000  6 O 2.10-2.25
Mg: 0.0000 0.5000 0.2356  5 O 2.09-2.25
Mg: 0.0000 0.5000 0.7644  5 O 2.09-2.25
Mg: 0.5000 0.0000 0.2356  5 O 2.09-2.25
Mg: 0.5000 0.0000 0.7644  5 O 2.09-2.25
Mg: 0.5000 0.5000 0.0000  2 O 2.00
Nb: 0.0000 0.0000 0.5000  6 O 2.25-2.34
Sn: 0.5000 0.5000 0.5000  6 O 2.25-2.44
O: 0.0000 0.0000 0.2361  5 Mg 2.10-2.25, 1 Nb 2.34
O: 0.0000 0.0000 0.7639  5 Mg 2.10-2.25, 1 Nb 2.34
O: 0.0000 0.5000 0.0000  6 Mg 2.09-2.25
O: 0.0000 0.5000 0.5000  2 Sn 2.25, 2 Nb 2.25, 2 Mg 2.35
O: 0.5000 0.0000 0.0000  6 Mg 2.09-2.25
O: 0.5000 0.0000 0.5000  2 Sn 2.25, 2 Nb 2.25, 2 Mg 2.35
O: 0.5000 0.5000 0.2257  1 Mg 2.00
O: 0.5000 0.5000 0.7743  1 Mg 2.00

Properties
- Formation energy from the elements: -38.5 eV per formula unit
- E above lowest polymorph: 0.000 eV/atom
- E (MP2020): -6.36 eV per atom
- E: -6.016 eV/atom